Entry 1:
Te6RuBr8 | GGA-PBE | optimized geometry

The structure in POSCAR format:
```
Te6RuBr8
1.0
9.833 0.000 0.000
0.000 17.126 0.000
-7.675 0.000 12.958
Te Ru Br
24 4 32
Direct
0.035 0.077 0.138 Te
0.035 0.423 0.638 Te
0.061 0.732 0.677 Te
0.061 0.768 0.177 Te
0.116 0.078 0.751 Te
0.116 0.422 0.251 Te
0.200 0.090 0.028 Te
0.200 0.410 0.528 Te
0.230 0.577 0.571 Te
0.230 0.923 0.071 Te
0.304 0.560 0.849 Te
0.304 0.940 0.349 Te
0.696 0.060 0.651 Te
0.696 0.440 0.151 Te
0.770 0.077 0.929 Te
0.770 0.423 0.429 Te
0.800 0.590 0.472 Te
0.800 0.910 0.972 Te
0.884 0.578 0.749 Te
0.884 0.922 0.249 Te
0.939 0.232 0.823 Te
0.939 0.268 0.323 Te
0.965 0.577 0.362 Te
0.965 0.923 0.862 Te
0.055 0.578 0.661 Ru
0.055 0.922 0.161 Ru
0.945 0.078 0.839 Ru
0.945 0.422 0.339 Ru
0.082 0.028 0.399 Br
0.082 0.472 0.899 Br
0.109 0.241 0.531 Br
0.109 0.259 0.031 Br
0.233 0.719 0.894 Br
0.233 0.781 0.394 Br
0.302 0.200 0.866 Br
0.302 0.300 0.366 Br
0.308 0.715 0.180 Br
0.308 0.785 0.680 Br
0.327 0.528 0.353 Br
0.327 0.972 0.853 Br
0.380 0.087 0.332 Br
0.380 0.413 0.832 Br
0.460 0.112 0.664 Br
0.460 0.388 0.164 Br
0.540 0.612 0.836 Br
0.540 0.888 0.336 Br
0.620 0.587 0.168 Br
0.620 0.913 0.668 Br
0.673 0.028 0.147 Br
0.673 0.472 0.647 Br
0.692 0.215 0.320 Br
0.692 0.285 0.820 Br
0.698 0.700 0.634 Br
0.698 0.800 0.134 Br
0.767 0.219 0.606 Br
0.767 0.281 0.106 Br
0.891 0.741 0.969 Br
0.891 0.759 0.469 Br
0.918 0.528 0.101 Br
0.918 0.972 0.601 Br
```

Summary:
ΔE_f (eV/atom): -0.62
Calculated volume (Å³/cell): 2182.2
Calculated density (g/cm³): 4.6

=====

Entry 2:
Si6O13 | GGA-PBE | optimized geometry

The structure in POSCAR format:
```
Si6O13
1.0
13.845 0.000 0.000
0.000 7.772 0.000
-6.799 0.000 12.079
Si O
24 52
Direct
0.000 0.150 0.000 Si
0.000 0.850 0.000 Si
0.008 0.291 0.217 Si
0.008 0.709 0.217 Si
0.098 0.152 0.753 Si
0.098 0.848 0.753 Si
0.101 0.344 0.550 Si
0.101 0.656 0.550 Si
0.213 0.294 0.994 Si
0.213 0.706 0.994 Si
0.219 0.156 0.427 Si
0.219 0.844 0.427 Si
0.425 0.347 0.432 Si
0.425 0.653 0.432 Si
0.429 0.216 0.221 Si
0.429 0.784 0.221 Si
0.670 0.207 0.545 Si
0.670 0.349 0.331 Si
0.670 0.651 0.331 Si
0.670 0.793 0.545 Si
0.885 0.200 0.347 Si
0.885 0.800 0.347 Si
0.889 0.298 0.763 Si
0.889 0.702 0.763 Si
0.010 0.500 0.223 O
0.122 0.225 0.027 O
0.122 0.775 0.027 O
0.127 0.258 0.668 O
0.127 0.742 0.668 O
0.132 0.217 0.300 O
0.132 0.783 0.300 O
0.180 0.243 0.511 O
0.180 0.757 0.511 O
0.192 0.207 0.879 O
0.192 0.793 0.879 O
0.203 0.500 0.979 O
0.337 0.245 0.092 O
0.337 0.755 0.092 O
0.340 0.240 0.461 O
0.340 0.760 0.461 O
0.357 0.500 0.717 O
0.391 0.306 0.302 O
0.391 0.694 0.302 O
0.423 0.000 0.233 O
0.431 0.500 0.693 O
0.479 0.080 0.815 O
0.479 0.920 0.815 O
0.515 0.000 0.356 O
0.547 0.277 0.237 O
0.547 0.723 0.237 O
0.550 0.283 0.520 O
0.550 0.717 0.520 O
0.606 0.421 0.939 O
0.606 0.579 0.939 O
0.674 0.000 0.549 O
0.687 0.000 0.067 O
0.704 0.281 0.455 O
0.704 0.719 0.455 O
0.727 0.000 0.005 O
0.761 0.278 0.298 O
0.761 0.722 0.298 O
0.762 0.275 0.667 O
0.762 0.725 0.667 O
0.865 0.500 0.967 O
0.887 0.000 0.382 O
0.904 0.212 0.877 O
0.904 0.788 0.877 O
0.920 0.500 0.784 O
0.921 0.216 0.252 O
0.921 0.784 0.252 O
0.969 0.227 0.092 O
0.969 0.773 0.092 O
0.971 0.306 0.458 O
0.971 0.694 0.458 O
0.974 0.207 0.729 O
0.974 0.793 0.729 O
```

Summary:
ΔE_f (eV/atom): -2.28
Calculated volume (Å³/cell): 1299.7
Calculated density (g/cm³): 1.9

=====

Entry 3:
NaCeHf2O6 | GGA-PBE | optimized geometry

The structure in POSCAR format:
```
NaCeHf2O6
1.0
0.000 4.100 4.100
4.100 0.000 4.100
4.100 4.100 0.000
Na Ce Hf O
1 1 2 6
Direct
0.000 0.000 0.000 Na
0.500 0.500 0.500 Ce
0.250 0.250 0.250 Hf
0.750 0.750 0.750 Hf
0.000 0.000 0.500 O
0.000 0.500 0.000 O
0.000 0.500 0.500 O
0.500 0.000 0.000 O
0.500 0.000 0.500 O
0.500 0.500 0.000 O
```

Summary:
ΔE_f (eV/atom): -3.52
Calculated volume (Å³/cell): 137.9
Calculated density (g/cm³): 7.4

=====

Entry 4:
KNaTeH6O6 | GGA-PBE | optimized geometry

The structure in POSCAR format:
```
KNaTeH6O6
1.0
6.694 0.000 0.000
-3.347 5.797 0.000
0.000 0.000 9.007
K Na Te H O
2 2 2 12 12
Direct
0.333 0.667 0.000 K
0.667 0.333 0.500 K
0.333 0.667 0.428 Na
0.667 0.333 0.928 Na
0.000 0.000 0.481 Te
0.000 0.000 0.981 Te
0.028 0.597 0.707 H
0.060 0.381 0.697 H
0.321 0.940 0.697 H
0.381 0.060 0.197 H
0.403 0.431 0.707 H
0.431 0.403 0.207 H
0.569 0.972 0.707 H
0.597 0.028 0.207 H
0.619 0.679 0.697 H
0.679 0.619 0.197 H
0.940 0.321 0.197 H
0.972 0.569 0.207 H
0.004 0.461 0.263 O
0.101 0.812 0.574 O
0.188 0.289 0.574 O
0.289 0.188 0.074 O
0.456 0.996 0.263 O
0.461 0.004 0.763 O
0.539 0.544 0.263 O
0.544 0.539 0.763 O
0.711 0.899 0.574 O
0.812 0.101 0.074 O
0.899 0.711 0.074 O
0.996 0.456 0.763 O
```

Summary:
ΔE_f (eV/atom): -1.51
Calculated volume (Å³/cell): 349.5
Calculated density (g/cm³): 2.8

=====

Entry 5:
MnTl2SnTe4 | GGA-PBE | optimized geometry

The structure in POSCAR format:
```
MnTl2SnTe4
1.0
-4.340 4.340 3.550
4.340 -4.340 3.550
4.340 4.340 -3.550
Mn Tl Sn Te
1 2 1 4
Direct
0.000 0.000 0.000 Mn
0.000 0.500 0.500 Tl
0.500 0.000 0.500 Tl
0.500 0.500 0.000 Sn
0.070 0.422 0.000 Te
0.422 0.070 0.000 Te
0.578 0.578 0.648 Te
0.930 0.930 0.352 Te
```

Summary:
ΔE_f (eV/atom): -0.44
Calculated volume (Å³/cell): 267.5
Calculated density (g/cm³): 6.8

=====

Entry 6:
Ba2ScAlO5 | GGA-PBE | optimized geometry

The structure in POSCAR format:
```
Ba2ScAlO5
1.0
5.112 -2.910 0.000
5.112 2.910 0.000
-0.002 0.000 14.611
Ba Sc Al O
6 3 3 15
Direct
0.000 0.000 0.000 Ba
0.001 0.001 0.303 Ba
0.333 0.333 0.460 Ba
0.337 0.337 0.834 Ba
0.664 0.664 0.655 Ba
0.683 0.683 0.153 Ba
0.007 0.007 0.540 Sc
0.666 0.666 0.912 Sc
0.670 0.670 0.391 Sc
0.022 0.022 0.771 Al
0.355 0.355 0.245 Al
0.356 0.356 0.054 Al
0.026 0.491 0.311 O
0.030 0.499 0.986 O
0.099 0.099 0.662 O
0.172 0.598 0.149 O
0.333 0.831 0.826 O
0.336 0.818 0.476 O
0.491 0.026 0.311 O
0.499 0.030 0.986 O
0.507 0.507 0.308 O
0.510 0.510 0.994 O
0.598 0.172 0.149 O
0.818 0.336 0.476 O
0.821 0.821 0.503 O
0.831 0.333 0.826 O
0.849 0.849 0.777 O
```

Summary:
ΔE_f (eV/atom): -3.37
Calculated volume (Å³/cell): 434.7
Calculated density (g/cm³): 4.9

=====

Entry 7:
Pr6Ge3S14 | GGA-PBE | optimized geometry

The structure in POSCAR format:
```
Pr6Ge3S14
1.0
10.352 0.000 0.000
-5.176 8.965 0.000
0.000 0.000 5.823
Pr Ge S
6 3 14
Direct
0.025 0.565 0.000 Pr
0.309 0.102 0.505 Pr
0.435 0.460 0.000 Pr
0.540 0.975 0.000 Pr
0.793 0.691 0.505 Pr
0.898 0.207 0.505 Pr
0.000 0.000 0.922 Ge
0.333 0.667 0.419 Ge
0.667 0.333 0.265 Ge
0.000 0.000 0.299 S
0.079 0.853 0.767 S
0.147 0.226 0.767 S
0.186 0.440 0.265 S
0.254 0.814 0.265 S
0.333 0.667 0.797 S
0.412 0.170 0.024 S
0.501 0.423 0.513 S
0.560 0.746 0.265 S
0.577 0.079 0.513 S
0.758 0.588 0.024 S
0.774 0.921 0.767 S
0.830 0.242 0.024 S
0.921 0.499 0.513 S
```

Summary:
ΔE_f (eV/atom): -1.78
Calculated volume (Å³/cell): 540.5
Calculated density (g/cm³): 4.6

=====

Entry 8:
Ca2CuAs2H4O10 | GGA-PBE | optimized geometry

The structure in POSCAR format:
```
Ca2CuAs2H4O10
1.0
6.020 0.000 0.000
0.000 12.855 0.000
-2.126 0.000 5.484
Ca Cu As H O
4 2 4 8 20
Direct
0.064 0.122 0.220 Ca
0.064 0.378 0.720 Ca
0.936 0.622 0.280 Ca
0.936 0.878 0.780 Ca
0.500 0.000 0.000 Cu
0.500 0.500 0.500 Cu
0.272 0.622 0.953 As
0.272 0.878 0.453 As
0.728 0.122 0.547 As
0.728 0.378 0.047 As
0.202 0.142 0.798 H
0.202 0.358 0.298 H
0.410 0.206 0.991 H
0.410 0.294 0.491 H
0.590 0.706 0.509 H
0.590 0.794 0.009 H
0.798 0.642 0.702 H
0.798 0.858 0.202 H
0.045 0.707 0.943 O
0.045 0.793 0.443 O
0.191 0.553 0.686 O
0.191 0.947 0.186 O
0.261 0.538 0.183 O
0.261 0.962 0.683 O
0.322 0.135 0.967 O
0.322 0.365 0.467 O
0.455 0.178 0.482 O
0.455 0.322 0.982 O
0.545 0.678 0.018 O
0.545 0.822 0.518 O
0.678 0.635 0.533 O
0.678 0.865 0.033 O
0.739 0.038 0.317 O
0.739 0.462 0.817 O
0.809 0.053 0.814 O
0.809 0.447 0.314 O
0.955 0.207 0.557 O
0.955 0.293 0.057 O
```

Summary:
ΔE_f (eV/atom): -1.95
Calculated volume (Å³/cell): 424.4
Calculated density (g/cm³): 3.6

=====

Entry 9:
Tm2GeO5 | GGA-PBE | optimized geometry

The structure in POSCAR format:
```
Tm2GeO5
1.0
5.778 -2.583 0.000
5.778 2.583 0.000
-3.024 0.000 6.724
Tm Ge O
4 2 10
Direct
0.130 0.156 0.266 Tm
0.156 0.130 0.766 Tm
0.844 0.870 0.234 Tm
0.870 0.844 0.734 Tm
0.500 0.500 0.000 Ge
0.500 0.500 0.500 Ge
0.112 0.735 0.034 O
0.181 0.485 0.366 O
0.265 0.888 0.466 O
0.335 0.665 0.750 O
0.485 0.181 0.866 O
0.515 0.819 0.134 O
0.665 0.335 0.250 O
0.735 0.112 0.534 O
0.819 0.515 0.634 O
0.888 0.265 0.966 O
```

Summary:
ΔE_f (eV/atom): -3.30
Calculated volume (Å³/cell): 200.7
Calculated density (g/cm³): 8.1

=====

Entry 10:
UGe2Rh | GGA-PBE | optimized geometry

The structure in POSCAR format:
```
UGe2Rh
1.0
-2.169 4.397 7.993
2.169 -4.397 7.993
2.169 4.397 -7.993
U Ge Rh
4 8 4
Direct
0.205 0.205 0.000 U
0.237 0.000 0.237 U
0.763 0.000 0.763 U
0.795 0.795 0.000 U
0.076 0.576 0.500 Ge
0.148 0.802 0.347 Ge
0.424 0.424 0.000 Ge
0.455 0.802 0.653 Ge
0.545 0.198 0.347 Ge
0.576 0.576 0.000 Ge
0.852 0.198 0.653 Ge
0.924 0.424 0.500 Ge
0.105 0.353 0.751 Rh
0.398 0.647 0.751 Rh
0.602 0.353 0.249 Rh
0.895 0.647 0.249 Rh
```

Summary:
ΔE_f (eV/atom): -0.46
Calculated volume (Å³/cell): 304.9
Calculated density (g/cm³): 10.6

=====

Entry 11:
CdHgO2 | GGA-PBE | optimized geometry

The structure in POSCAR format:
```
CdHgO2
1.0
3.092 -1.780 0.000
3.092 1.780 0.000
-1.538 0.000 6.299
Cd Hg O
1 1 2
Direct
0.000 0.000 0.000 Cd
0.500 0.500 0.500 Hg
0.379 0.379 0.182 O
0.621 0.621 0.818 O
```

Summary:
ΔE_f (eV/atom): -1.04
Calculated volume (Å³/cell): 69.3
Calculated density (g/cm³): 8.3

=====

Entry 12:
Mg2Si | GGA-PBE | optimized geometry

The structure in POSCAR format:
```
Mg2Si
1.0
5.862 0.000 0.000
-2.803 5.164 0.000
-0.003 -2.410 7.552
Mg Si
8 4
Direct
0.000 0.000 0.000 Mg
0.004 0.510 0.029 Mg
0.241 0.488 0.669 Mg
0.445 0.392 0.301 Mg
0.457 0.912 0.374 Mg
0.505 0.992 0.010 Mg
0.760 0.512 0.663 Mg
0.960 0.910 0.389 Mg
0.300 0.029 0.703 Si
0.481 0.457 0.967 Si
0.723 0.008 0.703 Si
0.947 0.386 0.336 Si
```

Summary:
ΔE_f (eV/atom): 0.07
Calculated volume (Å³/cell): 228.6
Calculated density (g/cm³): 2.2